a) Compound: Sr10Mn5Zn9As10O10
Source: the Materials Project database
Functional: GGA+U
Structure: optimized geometry

The structure in POSCAR format:
```
Sr10Mn5Zn9As10O10
1.0
-16.4099 15.6444 13.4112
-11.1394 3.5007 4.2634
-4.6687 2.8543 10.5678
Sr Mn Zn As O
10 5 9 10 10
direct
0.4709 0.4149 0.1171
0.6429 0.3312 0.1445
0.8235 0.4648 0.7660
0.7078 0.6270 0.1726
0.0040 0.4876 0.8261
0.1840 0.1197 0.1674
0.1224 0.7200 0.8921
0.4279 0.0883 0.0869
0.3519 0.6083 0.9033
0.4607 0.8175 0.7072
0.0165 0.0178 0.1215
0.0689 0.1268 0.1578
0.5638 0.7437 0.8360
0.6800 0.9879 0.8358
0.9771 0.6691 0.0042
0.0762 0.3841 0.4553
0.3242 0.2902 0.3963
0.9887 0.9369 0.6658
0.4861 0.1273 0.5835
0.3626 0.7761 0.5141
0.7129 0.0823 0.4812
0.8368 0.1982 0.5131
0.7560 0.7583 0.4334
0.0048 0.7212 0.4187
0.8379 0.3654 0.5518
0.0250 0.1791 0.8192
0.2766 0.3842 0.6344
0.2129 0.9555 0.4826
0.4754 0.3563 0.6230
0.3704 0.9503 0.5229
0.7181 0.2358 0.5408
0.7179 0.9282 0.1888
0.9295 0.6595 0.3279
0.0874 0.7536 0.4286
0.9327 0.2965 0.1501
0.2767 0.8417 0.0435
0.1352 0.6975 0.0984
0.5772 0.6967 0.0042
0.4565 0.2699 0.0790
0.7526 0.8469 0.9452
0.4620 0.7102 0.9788
0.9215 0.9622 0.9224
0.6774 0.7913 0.9249
0.0569 0.3699 0.0337
```

=====

b) Compound: Sr10Mn5Zn9As10O10
Source: the Materials Project database
Functional: GGA+U
Structure: optimized geometry

The structure in POSCAR format:
```
Sr10Mn5Zn9As10O10
1.0
-2.3281 7.4999 -5.0661
-4.5104 -7.8717 -3.7220
-6.3705 -0.7237 10.3742
Sr Mn Zn As O
10 5 9 10 10
direct
0.8768 0.5041 0.4483
0.9740 0.3253 0.8206
0.2782 0.1586 0.8743
0.3993 0.3154 0.2489
0.5100 0.0171 0.3324
0.2488 0.8149 0.6444
0.8369 0.8574 0.8735
0.4840 0.5446 0.0202
0.9344 0.7084 0.2064
0.3121 0.6404 0.4441
0.0339 0.0589 0.1529
0.2197 0.9694 0.4293
0.2539 0.4179 0.6803
0.6783 0.3231 0.1750
0.6595 0.0138 0.6426
0.4492 0.9233 0.9883
0.6168 0.6779 0.3132
0.9272 0.9586 0.6147
0.7257 0.5155 0.7043
0.1128 0.6657 0.0228
0.7740 0.2790 0.9939
0.0058 0.1691 0.3715
0.4887 0.1991 0.6825
0.7082 0.9515 0.1526
0.1836 0.1430 0.5854
0.2130 0.9488 0.0579
0.7098 0.6995 0.5681
0.1519 0.7939 0.8573
0.8035 0.5215 0.9315
0.3067 0.6004 0.1931
0.9921 0.3172 0.2094
0.6683 0.2836 0.5803
0.5875 0.0546 0.8483
0.8172 0.9315 0.3748
0.2459 0.0713 0.2910
0.0966 0.7465 0.4175
0.8316 0.8782 0.0788
0.2509 0.3964 0.8380
0.7052 0.5528 0.2428
0.6500 0.2652 0.3196
0.1874 0.5570 0.5859
0.9069 0.0605 0.7523
0.4510 0.3060 0.0646
0.4330 0.9130 0.5162
```

=====

Most stable: b). Least stable: a).

=====

a) Compound: MoAs2O7
Source: the Materials Project database
Functional: GGA+U
Structure: optimized geometry

The structure in POSCAR format:
```
MoAs2O7
1.0
-3.9046 2.5116 0.6011
-2.5111 -2.1315 -7.4056
-9.2520 -14.7132 1.3788
Mo As O
4 8 28
direct
0.0030 0.0623 0.0965
0.5030 0.9377 0.4035
0.9970 0.9377 0.9035
0.4970 0.0623 0.5965
0.5521 0.4103 0.2112
0.0521 0.5897 0.2888
0.4479 0.5897 0.7888
0.9479 0.4103 0.7112
0.4556 0.7749 0.0573
0.9556 0.2251 0.4427
0.0444 0.7749 0.5573
0.5444 0.2251 0.9427
0.1864 0.4429 0.2353
0.6864 0.5571 0.2647
0.8136 0.5571 0.7647
0.3136 0.4429 0.7353
0.7879 0.9806 0.1795
0.2879 0.0194 0.3205
0.2121 0.0194 0.8205
0.7121 0.9806 0.6795
0.2527 0.7572 0.9778
0.7527 0.2428 0.5222
0.7473 0.2428 0.0222
0.2473 0.7572 0.4778
0.2480 0.8447 0.6240
0.7480 0.1553 0.8760
0.7520 0.1553 0.3760
0.2520 0.8447 0.1240
0.9248 0.5668 0.6056
0.4248 0.4332 0.8944
0.0752 0.4332 0.3944
0.5752 0.5668 0.1056
0.7566 0.9032 0.0246
0.7780 0.7921 0.8787
0.7220 0.7921 0.3787
0.2220 0.2079 0.1213
0.7434 0.9032 0.5246
0.2434 0.0968 0.9754
0.2566 0.0968 0.4754
0.2780 0.2079 0.6213
```

=====

b) Compound: MoAs2O7
Source: the Materials Project database
Functional: GGA+U
Structure: optimized geometry

The structure in POSCAR format:
```
MoAs2O7
1.0
9.4470 0.0000 0.0000
0.0000 7.6636 0.0000
0.0000 1.2493 9.9513
Mo As O
4 8 28
direct
0.9525 0.2018 0.6945
0.4525 0.7982 0.8055
0.0475 0.7982 0.3055
0.5475 0.2018 0.1945
0.7698 0.5809 0.7685
0.2698 0.4191 0.7315
0.2302 0.4191 0.2315
0.7302 0.5809 0.2685
0.7677 0.8397 0.9935
0.2677 0.1603 0.5065
0.2323 0.1603 0.0065
0.7323 0.8397 0.4935
0.6571 0.1695 0.0618
0.1571 0.8305 0.4382
0.3429 0.8305 0.9382
0.8429 0.1695 0.5618
0.5885 0.5939 0.7600
0.0885 0.4061 0.7400
0.4115 0.4061 0.2400
0.9115 0.5939 0.2600
0.8359 0.6419 0.9182
0.3359 0.3581 0.5818
0.1641 0.3581 0.0818
0.6641 0.6419 0.4182
0.8460 0.7042 0.6290
0.3460 0.2958 0.8710
0.1540 0.2958 0.3710
0.6540 0.7042 0.1290
0.8746 0.8849 0.3810
0.3746 0.1151 0.1190
0.1254 0.1151 0.6190
0.6254 0.8849 0.8810
0.6836 0.3660 0.2702
0.1836 0.6340 0.2298
0.3164 0.6340 0.7298
0.8164 0.3660 0.7702
0.5713 0.0277 0.3206
0.0713 0.9723 0.1794
0.4287 0.9723 0.6794
0.9287 0.0277 0.8206
```

=====

Most stable: a). Least stable: b).